# 1
The following is a GGA-PBE calculation of Be3As3H9C5NO13 after structural relaxation, from Materials Project.

POSCAR file:
```
Be3As3H9C5NO13
1.0
-4.871 0.942 0.988
1.075 7.277 11.318
-0.989 19.670 -10.687
H O C Be N As
36 52 20 12 4 12
direct
0.514 0.121 0.722
0.643 0.621 0.222
0.781 0.019 0.916
0.548 0.748 0.465
0.704 0.203 0.109
0.408 0.194 0.840
0.296 0.797 0.891
0.716 0.481 0.584
0.471 0.008 0.728
0.239 0.248 0.965
0.441 0.306 0.660
0.447 0.707 0.977
0.761 0.752 0.035
0.984 0.703 0.609
0.357 0.379 0.778
0.793 0.508 0.228
0.016 0.297 0.391
0.284 0.519 0.416
0.270 0.538 0.642
0.870 0.207 0.477
0.529 0.992 0.272
0.942 0.912 0.007
0.219 0.981 0.084
0.139 0.412 0.507
0.207 0.492 0.772
0.452 0.252 0.535
0.730 0.462 0.358
0.559 0.694 0.340
0.486 0.879 0.278
0.058 0.088 0.993
0.550 0.038 0.142
0.592 0.806 0.160
0.450 0.962 0.858
0.553 0.293 0.023
0.130 0.793 0.523
0.861 0.588 0.493
0.221 0.359 0.192
0.077 0.324 0.685
0.907 0.808 0.404
0.549 0.194 0.868
0.330 0.103 0.267
0.140 0.644 0.883
0.369 0.080 0.724
0.001 0.006 0.211
0.086 0.176 0.815
0.493 0.946 0.437
0.699 0.347 0.785
0.923 0.676 0.315
0.914 0.824 0.185
0.667 0.856 0.617
0.387 0.497 0.097
0.390 0.694 0.368
0.860 0.356 0.117
0.891 0.892 0.506
0.670 0.897 0.733
0.946 0.210 0.193
0.779 0.641 0.808
0.227 0.859 0.692
0.701 0.397 0.233
0.999 0.994 0.789
0.781 0.506 0.711
0.507 0.054 0.563
0.119 0.692 0.096
0.881 0.308 0.904
0.773 0.141 0.308
0.301 0.653 0.215
0.018 0.997 0.597
0.451 0.806 0.132
0.219 0.494 0.289
0.289 0.608 0.994
0.333 0.144 0.383
0.827 0.580 0.224
0.350 0.290 0.307
0.299 0.603 0.767
0.650 0.710 0.693
0.169 0.847 0.285
0.173 0.420 0.776
0.109 0.108 0.494
0.711 0.392 0.006
0.093 0.192 0.596
0.876 0.554 0.063
0.831 0.153 0.715
0.982 0.003 0.403
0.613 0.503 0.903
0.631 0.920 0.276
0.610 0.306 0.632
0.124 0.446 0.937
0.054 0.790 0.807
0.412 0.449 0.430
0.332 0.390 0.480
0.339 0.582 0.603
0.500 0.698 0.504
0.564 0.172 0.086
0.291 0.051 0.070
0.298 0.198 0.004
0.524 0.918 0.897
0.476 0.082 0.103
0.202 0.110 0.020
0.668 0.610 0.520
0.588 0.551 0.570
0.436 0.828 0.914
0.178 0.672 0.586
0.822 0.328 0.414
0.500 0.302 0.496
0.661 0.418 0.397
0.709 0.949 0.930
0.702 0.802 0.996
0.798 0.890 0.980
0.077 0.668 0.815
0.937 0.899 0.238
0.063 0.101 0.762
0.074 0.601 0.262
0.559 0.832 0.685
0.174 0.583 0.065
0.441 0.168 0.315
0.826 0.417 0.935
0.178 0.083 0.565
0.926 0.399 0.738
0.923 0.332 0.185
0.822 0.917 0.435
0.261 0.726 0.537
0.524 0.774 0.963
0.476 0.226 0.037
0.739 0.274 0.463
0.368 0.386 0.254
0.632 0.614 0.746
0.281 0.547 0.929
0.089 0.762 0.341
0.807 0.262 0.841
0.992 0.886 0.754
0.719 0.453 0.071
0.757 0.953 0.571
0.193 0.738 0.159
0.008 0.114 0.246
0.243 0.047 0.429
0.911 0.238 0.659
```

Values from the calculation:
spin magnetization	4.320	Bohr magnetons per cell
E_form	-1278	meV per atom


# 2
The following is a GGA-PBE calculation of NiSeS after structural relaxation, from Materials Project.

POSCAR file:
```
NiSeS
1.0
-5.209 -0.842 2.383
-1.123 -4.119 -3.911
2.264 -3.981 3.542
Ni S Se
4 4 4
direct
0.990 0.510 0.490
0.010 0.010 0.010
0.510 0.490 0.990
0.490 0.990 0.510
0.887 0.387 0.113
0.613 0.613 0.613
0.113 0.887 0.387
0.387 0.113 0.887
0.382 0.382 0.382
0.882 0.118 0.618
0.118 0.618 0.882
0.618 0.882 0.118
```

Values from the calculation:
spin magnetization	0.035	Bohr magnetons per cell
E_form	-386	meV per atom


# 3
The following is a GGA-PBE calculation of CsIrO3 after structural relaxation, from Materials Project.

POSCAR file:
```
CsIrO3
1.0
-2.267 1.413 -3.102
-1.656 -3.713 -0.481
-2.980 0.989 2.627
Cs O Ir
1 3 1
direct
0.000 0.000 0.000
0.000 0.500 0.500
0.500 0.500 0.000
0.500 0.000 0.500
0.500 0.500 0.500
```

Values from the calculation:
spin magnetization	1.076	Bohr magnetons per cell
E_form	-1051	meV per atom


# 4
The following is a GGA-PBE calculation of Ba3LaRu2O9 after structural relaxation, from Materials Project.

POSCAR file:
```
Ba3LaRu2O9
1.0
3.009 -5.212 0.000
3.009 5.212 0.000
0.000 0.000 15.086
Ba O Ru La
6 18 4 2
direct
0.333 0.667 0.894
0.000 0.000 0.250
0.667 0.333 0.394
0.667 0.333 0.106
0.000 0.000 0.750
0.333 0.667 0.606
0.357 0.179 0.906
0.821 0.179 0.906
0.357 0.179 0.594
0.509 0.018 0.750
0.643 0.821 0.406
0.179 0.821 0.094
0.491 0.509 0.250
0.821 0.179 0.594
0.179 0.357 0.406
0.509 0.491 0.750
0.821 0.643 0.906
0.491 0.982 0.250
0.982 0.491 0.750
0.643 0.821 0.094
0.018 0.509 0.250
0.179 0.357 0.094
0.179 0.821 0.406
0.821 0.643 0.594
0.667 0.333 0.833
0.333 0.667 0.167
0.333 0.667 0.333
0.667 0.333 0.667
0.000 0.000 0.500
0.000 0.000 0.000
```

Values from the calculation:
E_form	-2585	meV per atom


# 5
The following is a GGA-PBE calculation of CeLu3 after structural relaxation, from Materials Project.

POSCAR file:
```
CeLu3
1.0
3.500 -6.062 0.000
3.500 6.062 0.000
0.000 0.000 5.573
Lu Ce
6 2
direct
0.334 0.167 0.750
0.666 0.833 0.250
0.167 0.833 0.250
0.833 0.167 0.750
0.167 0.334 0.250
0.833 0.666 0.750
0.667 0.333 0.250
0.333 0.667 0.750
```

Values from the calculation:
E_form	53	meV per atom


# 6
The following is a GGA-PBE calculation of Al2O3 after structural relaxation, from Materials Project.

POSCAR file:
```
Al2O3
1.0
10.249 -0.169 0.239
-0.179 10.374 -0.303
0.247 -0.294 10.452
O Al
60 40
direct
0.353 0.518 0.784
0.577 0.838 0.476
0.681 0.714 0.282
0.735 0.207 0.316
0.185 0.246 0.124
0.044 0.926 0.635
0.120 0.848 0.391
0.269 0.024 0.492
0.192 0.505 0.246
0.765 0.047 0.494
0.350 0.749 0.932
0.925 0.396 0.223
0.814 0.634 0.042
0.963 0.435 0.516
0.970 0.621 0.283
0.514 0.990 0.926
0.197 0.043 0.237
0.429 0.024 0.242
0.371 0.790 0.293
0.877 0.767 0.500
0.487 0.233 0.113
0.121 0.305 0.379
0.149 0.661 0.568
0.563 0.122 0.625
0.044 0.171 0.612
0.647 0.231 0.856
0.183 0.336 0.899
0.660 0.423 0.200
0.304 0.258 0.593
0.993 0.073 0.388
0.162 0.898 0.911
0.780 0.559 0.743
0.593 0.701 0.873
0.792 0.915 0.991
0.733 0.305 0.610
0.203 0.106 0.769
0.796 0.216 0.031
0.044 0.487 0.024
0.516 0.215 0.405
0.660 0.581 0.476
0.439 0.480 0.422
0.509 0.398 0.627
0.841 0.084 0.760
0.669 0.984 0.265
0.896 0.865 0.222
0.419 0.682 0.632
0.381 0.937 0.711
0.592 0.815 0.095
0.318 0.089 0.983
0.345 0.492 0.036
0.931 0.114 0.183
0.917 0.364 0.799
0.647 0.883 0.725
0.164 0.733 0.135
0.154 0.429 0.682
0.472 0.574 0.205
0.421 0.249 0.813
0.008 0.115 0.921
0.580 0.481 0.949
0.120 0.626 0.838
0.300 0.352 0.757
0.235 0.608 0.693
0.325 0.125 0.150
0.819 0.231 0.859
0.333 0.086 0.645
0.038 0.464 0.346
0.762 0.793 0.128
0.422 0.329 0.488
0.308 0.638 0.212
0.839 0.028 0.322
0.577 0.278 0.717
0.442 0.600 0.910
0.546 0.846 0.264
0.673 0.191 0.486
0.593 0.549 0.315
0.176 0.166 0.934
0.035 0.779 0.257
0.281 0.935 0.337
0.511 0.554 0.567
0.845 0.433 0.648
0.497 0.161 0.935
0.511 0.434 0.098
0.089 0.030 0.508
0.628 0.867 0.924
0.174 0.743 0.960
0.026 0.062 0.747
0.092 0.320 0.553
0.571 0.127 0.260
0.063 0.456 0.849
0.078 0.166 0.266
0.716 0.021 0.656
0.723 0.743 0.451
0.503 0.837 0.636
0.190 0.417 0.083
0.336 0.926 0.884
0.922 0.544 0.134
0.789 0.299 0.188
0.713 0.588 0.896
0.039 0.777 0.542
0.882 0.060 0.031
```

Values from the calculation:
spin magnetization	0.002	Bohr magnetons per cell
E_form	-3186	meV per atom